1.
## Na6La4Ta4Si7S5O48 (PBE)

Data for Na6La4Ta4Si7S5O48 after structural relaxation.

Geometry as POSCAR:
```
Na6La4Ta4Si7S5O48
1.0
-15.575 6.635 7.307
1.010 -9.055 -1.211
9.228 -1.773 21.721
Na La Ta Si S O
18 12 12 21 15 144
direct
0.003 0.614 0.258 Na
0.499 0.632 0.264 Na
0.997 0.370 0.753 Na
0.504 0.394 0.754 Na
0.331 0.988 0.572 Na
0.829 0.671 0.075 Na
0.002 0.973 0.503 Na
0.500 0.017 0.493 Na
0.993 0.979 0.995 Na
0.504 0.032 0.007 Na
0.325 0.362 0.828 Na
0.832 0.334 0.838 Na
0.334 0.333 0.341 Na
0.822 0.287 0.330 Na
0.173 0.653 0.179 Na
0.664 0.666 0.170 Na
0.164 0.667 0.660 Na
0.673 0.694 0.668 Na
0.507 0.993 0.641 La
0.006 0.018 0.143 La
0.337 0.349 0.687 La
0.820 0.329 0.684 La
0.321 0.315 0.188 La
0.836 0.326 0.189 La
0.665 0.642 0.004 La
0.161 0.683 0.504 La
0.178 0.668 0.320 La
0.668 0.684 0.326 La
0.166 0.640 0.822 La
0.677 0.686 0.819 La
0.990 0.008 0.357 Ta
0.502 0.982 0.359 Ta
0.994 0.016 0.853 Ta
0.491 0.974 0.857 Ta
0.000 0.000 0.643 Ta
0.500 0.004 0.146 Ta
0.343 0.332 0.982 Ta
0.835 0.345 0.986 Ta
0.335 0.322 0.486 Ta
0.835 0.353 0.477 Ta
0.169 0.672 0.014 Ta
0.667 0.651 0.510 Ta
0.639 0.998 0.249 Si
0.363 0.724 0.250 Si
0.003 0.300 0.254 Si
0.139 0.273 0.749 Si
0.503 0.707 0.754 Si
0.858 0.003 0.746 Si
0.488 0.345 0.583 Si
0.185 0.040 0.586 Si
0.830 0.632 0.582 Si
0.987 0.632 0.082 Si
0.332 0.031 0.082 Si
0.684 0.327 0.085 Si
0.315 0.652 0.920 Si
0.830 0.670 0.919 Si
0.012 0.366 0.918 Si
0.510 0.348 0.909 Si
0.327 0.985 0.419 Si
0.815 0.978 0.421 Si
0.666 0.363 0.414 Si
0.009 0.670 0.409 Si
0.511 0.653 0.419 Si
0.141 0.002 0.258 S
0.858 0.719 0.255 S
0.503 0.278 0.248 S
0.641 0.278 0.759 S
0.002 0.730 0.749 S
0.359 0.998 0.755 S
0.981 0.324 0.585 S
0.691 0.028 0.573 S
0.328 0.629 0.576 S
0.478 0.634 0.083 S
0.830 0.030 0.076 S
0.190 0.351 0.073 S
0.171 0.976 0.922 S
0.666 0.997 0.917 S
0.166 0.334 0.418 S
0.085 0.994 0.305 O
0.585 0.992 0.307 O
0.416 0.824 0.307 O
0.906 0.836 0.303 O
0.502 0.182 0.297 O
0.005 0.187 0.310 O
0.085 0.170 0.807 O
0.585 0.174 0.806 O
0.505 0.824 0.810 O
0.001 0.825 0.799 O
0.407 0.979 0.804 O
0.910 0.006 0.807 O
0.397 0.994 0.701 O
0.916 0.000 0.692 O
0.084 0.163 0.693 O
0.605 0.201 0.704 O
0.000 0.814 0.695 O
0.500 0.802 0.697 O
0.415 0.833 0.192 O
0.899 0.799 0.200 O
0.000 0.199 0.197 O
0.500 0.188 0.193 O
0.106 0.009 0.202 O
0.584 0.006 0.192 O
0.459 0.367 0.646 O
0.944 0.341 0.639 O
0.244 0.122 0.639 O
0.725 0.084 0.631 O
0.329 0.555 0.631 O
0.809 0.525 0.640 O
0.440 0.539 0.135 O
0.962 0.552 0.144 O
0.308 0.096 0.139 O
0.831 0.108 0.130 O
0.226 0.369 0.130 O
0.746 0.368 0.138 O
0.246 0.343 0.030 O
0.737 0.312 0.028 O
0.425 0.534 0.032 O
0.913 0.498 0.036 O
0.345 0.170 0.031 O
0.826 0.131 0.028 O
0.236 0.160 0.529 O
0.749 0.152 0.531 O
0.325 0.520 0.529 O
0.846 0.522 0.532 O
0.413 0.329 0.538 O
0.929 0.310 0.536 O
0.263 0.692 0.967 O
0.800 0.719 0.977 O
0.087 0.487 0.964 O
0.564 0.409 0.966 O
0.159 0.857 0.969 O
0.645 0.886 0.967 O
0.295 0.877 0.477 O
0.762 0.831 0.467 O
0.146 0.403 0.467 O
0.653 0.465 0.468 O
0.064 0.724 0.466 O
0.585 0.683 0.464 O
0.046 0.624 0.355 O
0.530 0.602 0.358 O
0.262 0.909 0.367 O
0.767 0.933 0.362 O
0.183 0.436 0.367 O
0.692 0.478 0.359 O
0.033 0.460 0.858 O
0.546 0.468 0.856 O
0.191 0.920 0.869 O
0.682 0.928 0.866 O
0.265 0.603 0.861 O
0.766 0.625 0.867 O
0.989 0.824 0.397 O
0.506 0.830 0.413 O
0.420 0.011 0.402 O
0.911 0.001 0.411 O
0.090 0.160 0.408 O
0.585 0.176 0.406 O
0.006 0.178 0.910 O
0.489 0.154 0.898 O
0.095 0.991 0.918 O
0.590 0.021 0.908 O
0.411 0.819 0.910 O
0.926 0.826 0.902 O
0.484 0.164 0.575 O
0.984 0.160 0.588 O
0.090 0.023 0.591 O
0.608 0.018 0.567 O
0.406 0.796 0.570 O
0.918 0.816 0.592 O
0.478 0.798 0.083 O
0.984 0.805 0.074 O
0.418 0.020 0.090 O
0.907 0.018 0.069 O
0.107 0.199 0.068 O
0.591 0.154 0.091 O
0.363 0.162 0.763 O
0.860 0.181 0.750 O
0.230 0.295 0.754 O
0.724 0.291 0.765 O
0.420 0.524 0.762 O
0.927 0.558 0.750 O
0.362 0.544 0.249 O
0.861 0.564 0.263 O
0.426 0.297 0.248 O
0.920 0.316 0.263 O
0.224 0.155 0.266 O
0.730 0.163 0.252 O
0.333 0.501 0.938 O
0.841 0.502 0.931 O
0.415 0.327 0.928 O
0.918 0.318 0.940 O
0.243 0.147 0.937 O
0.739 0.167 0.926 O
0.341 0.177 0.432 O
0.837 0.166 0.441 O
0.239 0.309 0.427 O
0.743 0.330 0.437 O
0.416 0.513 0.441 O
0.915 0.506 0.426 O
0.181 0.503 0.065 O
0.675 0.494 0.076 O
0.078 0.655 0.060 O
0.563 0.664 0.075 O
0.252 0.849 0.061 O
0.756 0.860 0.075 O
0.175 0.854 0.578 O
0.682 0.861 0.565 O
0.254 0.652 0.576 O
0.752 0.657 0.564 O
0.068 0.463 0.580 O
0.578 0.508 0.565 O
0.147 0.848 0.257 O
0.636 0.818 0.244 O
0.271 0.704 0.247 O
0.773 0.693 0.255 O
0.086 0.486 0.251 O
0.578 0.446 0.245 O
0.136 0.449 0.747 O
0.647 0.444 0.759 O
0.078 0.714 0.748 O
0.586 0.687 0.751 O
0.272 0.857 0.758 O
0.769 0.837 0.745 O
```

2.
## Na6La6Ta2Si5S7O48 (PBE)

Data for Na6La6Ta2Si5S7O48 after structural relaxation.

Geometry as POSCAR:
```
Na6La6Ta2Si5S7O48
1.0
18.834 -0.057 -0.035
-4.733 8.204 -0.008
-0.043 -0.049 24.679
Na La Ta Si S O
18 18 6 15 21 144
direct
0.993 0.685 0.910 Na
0.350 0.028 0.914 Na
0.174 0.306 0.913 Na
0.494 0.306 0.422 Na
0.673 0.039 0.417 Na
0.847 0.671 0.418 Na
0.997 0.997 0.495 Na
0.501 0.003 0.502 Na
0.002 0.004 0.997 Na
0.496 0.997 0.991 Na
0.340 0.348 0.841 Na
0.825 0.323 0.819 Na
0.327 0.333 0.325 Na
0.837 0.328 0.347 Na
0.171 0.668 0.172 Na
0.665 0.664 0.168 Na
0.168 0.667 0.667 Na
0.657 0.652 0.662 Na
0.004 0.004 0.354 La
0.498 0.004 0.345 La
0.997 0.991 0.845 La
0.503 0.004 0.852 La
0.338 0.346 0.680 La
0.832 0.331 0.689 La
0.333 0.334 0.189 La
0.833 0.322 0.182 La
0.350 0.356 0.978 La
0.824 0.294 0.988 La
0.335 0.354 0.496 La
0.848 0.340 0.480 La
0.172 0.680 0.016 La
0.667 0.665 0.020 La
0.166 0.667 0.522 La
0.667 0.657 0.518 La
0.668 0.652 0.313 La
0.169 0.685 0.811 La
0.991 0.985 0.659 Ta
0.503 0.025 0.645 Ta
0.004 0.999 0.151 Ta
0.490 0.994 0.159 Ta
0.167 0.683 0.312 Ta
0.661 0.645 0.807 Ta
0.142 0.987 0.250 Si
0.344 0.704 0.253 Si
0.505 0.305 0.249 Si
0.642 0.291 0.749 Si
0.004 0.703 0.749 Si
0.844 0.983 0.753 Si
0.487 0.336 0.583 Si
0.339 0.654 0.590 Si
0.840 0.025 0.089 Si
0.314 0.668 0.916 Si
0.525 0.382 0.912 Si
0.165 0.970 0.919 Si
0.813 0.959 0.416 Si
0.666 0.359 0.417 Si
0.024 0.666 0.413 Si
0.641 0.995 0.244 S
0.859 0.719 0.243 S
0.009 0.301 0.248 S
0.143 0.288 0.745 S
0.508 0.709 0.752 S
0.358 0.999 0.744 S
0.985 0.311 0.589 S
0.170 0.030 0.588 S
0.673 0.031 0.586 S
0.844 0.658 0.588 S
0.486 0.660 0.089 S
0.984 0.653 0.087 S
0.343 0.029 0.088 S
0.172 0.317 0.087 S
0.672 0.312 0.088 S
0.808 0.658 0.912 S
0.016 0.370 0.918 S
0.671 0.951 0.911 S
0.307 0.956 0.411 S
0.173 0.394 0.410 S
0.515 0.662 0.416 S
0.101 0.009 0.303 O
0.609 0.006 0.297 O
0.400 0.785 0.305 O
0.899 0.786 0.295 O
0.499 0.216 0.306 O
0.994 0.208 0.297 O
0.109 0.212 0.798 O
0.603 0.195 0.804 O
0.498 0.779 0.801 O
0.998 0.779 0.808 O
0.398 0.009 0.796 O
0.900 0.016 0.805 O
0.412 0.997 0.698 O
0.902 0.971 0.699 O
0.084 0.176 0.700 O
0.581 0.186 0.696 O
0.002 0.833 0.699 O
0.521 0.808 0.703 O
0.402 0.832 0.198 O
0.913 0.832 0.197 O
0.017 0.208 0.200 O
0.502 0.170 0.198 O
0.081 0.972 0.196 O
0.584 0.991 0.199 O
0.434 0.339 0.633 O
0.942 0.337 0.634 O
0.224 0.112 0.635 O
0.728 0.118 0.632 O
0.323 0.530 0.639 O
0.836 0.549 0.632 O
0.443 0.549 0.134 O
0.939 0.548 0.133 O
0.335 0.121 0.133 O
0.829 0.125 0.138 O
0.227 0.341 0.132 O
0.727 0.339 0.134 O
0.200 0.284 0.035 O
0.709 0.290 0.038 O
0.439 0.596 0.038 O
0.938 0.588 0.035 O
0.356 0.113 0.035 O
0.858 0.138 0.033 O
0.206 0.125 0.538 O
0.704 0.122 0.535 O
0.359 0.583 0.534 O
0.858 0.599 0.535 O
0.436 0.300 0.525 O
0.939 0.282 0.538 O
0.271 0.687 0.971 O
0.771 0.673 0.962 O
0.065 0.449 0.967 O
0.573 0.470 0.968 O
0.146 0.848 0.971 O
0.668 0.872 0.963 O
0.268 0.866 0.460 O
0.769 0.851 0.470 O
0.169 0.470 0.462 O
0.646 0.444 0.468 O
0.073 0.675 0.468 O
0.564 0.681 0.466 O
0.083 0.662 0.360 O
0.555 0.646 0.367 O
0.256 0.855 0.361 O
0.757 0.876 0.361 O
0.175 0.495 0.362 O
0.680 0.470 0.363 O
0.055 0.467 0.869 O
0.584 0.504 0.859 O
0.178 0.883 0.865 O
0.674 0.859 0.864 O
0.256 0.637 0.862 O
0.759 0.653 0.863 O
0.006 0.819 0.411 O
0.506 0.810 0.413 O
0.390 0.979 0.408 O
0.903 0.970 0.414 O
0.098 0.231 0.408 O
0.586 0.170 0.416 O
0.006 0.205 0.915 O
0.507 0.194 0.911 O
0.084 0.998 0.917 O
0.597 0.970 0.910 O
0.403 0.837 0.915 O
0.894 0.803 0.910 O
0.494 0.163 0.596 O
0.993 0.162 0.600 O
0.087 0.017 0.598 O
0.589 0.017 0.597 O
0.425 0.833 0.607 O
0.922 0.826 0.598 O
0.494 0.825 0.100 O
0.992 0.821 0.097 O
0.420 0.014 0.098 O
0.925 0.015 0.106 O
0.088 0.161 0.100 O
0.590 0.160 0.097 O
0.348 0.142 0.739 O
0.828 0.130 0.740 O
0.222 0.298 0.739 O
0.735 0.337 0.740 O
0.439 0.539 0.747 O
0.921 0.528 0.744 O
0.328 0.525 0.240 O
0.851 0.558 0.235 O
0.422 0.315 0.243 O
0.940 0.330 0.239 O
0.234 0.129 0.239 O
0.722 0.146 0.238 O
0.318 0.497 0.921 O
0.818 0.510 0.914 O
0.433 0.363 0.909 O
0.934 0.363 0.923 O
0.250 0.149 0.926 O
0.746 0.120 0.912 O
0.312 0.118 0.409 O
0.818 0.138 0.422 O
0.248 0.378 0.410 O
0.751 0.349 0.424 O
0.433 0.507 0.420 O
0.932 0.501 0.410 O
0.156 0.453 0.084 O
0.661 0.456 0.083 O
0.068 0.677 0.085 O
0.569 0.682 0.084 O
0.271 0.861 0.087 O
0.763 0.842 0.082 O
0.158 0.864 0.583 O
0.659 0.864 0.583 O
0.263 0.688 0.582 O
0.774 0.685 0.586 O
0.069 0.456 0.585 O
0.580 0.488 0.586 O
0.148 0.811 0.261 O
0.647 0.847 0.239 O
0.254 0.699 0.261 O
0.779 0.712 0.239 O
0.087 0.466 0.253 O
0.590 0.475 0.240 O
0.146 0.446 0.740 O
0.645 0.478 0.759 O
0.089 0.704 0.740 O
0.588 0.696 0.759 O
0.278 0.845 0.739 O
0.755 0.808 0.763 O
```

| no. | formation energy from the elements (kcal/mol of atoms) | total magnetization (μB per formula unit) |
| --- | --- | --- |
| 1 | -66.3 | 0.0 |
| 2 | -63.7 | 0.0 |